This record from the Materials Project database describes crystalline Mn31Si11P at its relaxed geometry. The functional is PBE.

Output
Raw total energy, eV/cell: -355.5
Crystal system: trigonal
ΔE_f, eV per atom: -0.149

Lattice parameters (Å, degrees): 6.8459 6.8459 12.3692 90.00 90.00 120.00
Closest atoms and distances in Å follow each position.
Space group P3 (No. 143)
Symmetry-distinct sites (fractional):
Mn 0.0000 0.0000 0.0000 [1 per cell]  1 Mn 2.18
Mn 0.0000 0.0000 0.1760 [1 per cell]  1 Mn 2.18
Mn 0.0000 0.0000 0.5887 [1 per cell]  5 Si 2.41-2.59, 6 Mn 2.61-2.63
Mn 0.0204 0.3519 0.7833 [3 per cell]  3 Si 2.34-2.39, 1 P 2.41, 4 Mn 2.50-2.55
Mn 0.0363 0.6840 0.4880 [3 per cell]  7 Mn 2.50-2.61, 4 Si 2.50-2.65
Mn 0.0386 0.7072 0.2853 [3 per cell]  4 Si 2.40-2.59, 7 Mn 2.51-2.67
Mn 0.0565 0.3959 0.9886 [3 per cell]  3 Si 2.47-2.50, 7 Mn 2.50-2.69
Mn 0.3335 0.2941 0.8944 [3 per cell]  1 P 2.34, 3 Si 2.42-2.59, 6 Mn 2.51-2.62
Mn 0.3333 0.6667 0.1633 [1 per cell]  6 Mn 2.49-2.64, 4 Si 2.52-2.53
Mn 0.3333 0.6667 0.6620 [1 per cell]  4 Si 2.39-2.42, 6 Mn 2.50-2.62
Mn 0.3502 0.0264 0.3985 [3 per cell]  4 Si 2.32-2.44, 5 Mn 2.51-2.60
Mn 0.3536 0.3156 0.6919 [3 per cell]  7 Mn 2.50-2.67, 3 Si 2.50-2.65, 1 P 2.63
Mn 0.3964 0.0535 0.1924 [3 per cell]  3 Si 2.47-2.49, 7 Mn 2.49-2.67
Mn 0.6667 0.3333 0.0144 [1 per cell]  1 P 2.39, 3 Si 2.49, 6 Mn 2.50-2.62
Mn 0.6667 0.3333 0.5178 [1 per cell]  4 Si 2.40-2.42, 6 Mn 2.50-2.60
Si 0.0000 0.0000 0.3812 [1 per cell]  8 Mn 2.32-2.57
Si 0.0000 0.0000 0.7980 [1 per cell]  8 Mn 2.35-2.59
Si 0.0015 0.3526 0.5901 [3 per cell]  9 Mn 2.38-2.50
Si 0.3225 0.3186 0.0894 [3 per cell]  10 Mn 2.42-2.52
Si 0.3333 0.6667 0.3676 [1 per cell]  10 Mn 2.40-2.57
Si 0.3333 0.6667 0.8578 [1 per cell]  10 Mn 2.34-2.59
Si 0.6667 0.3333 0.3219 [1 per cell]  10 Mn 2.34-2.59
P 0.6667 0.3333 0.8214 [1 per cell]  7 Mn 2.34-2.41



This record from the Materials Project database describes crystalline Hf4GeSb7 at its relaxed geometry. The functional is PBE.

Output
Raw total energy, eV/cell: -78.4
Crystal system: monoclinic
ΔE_f, eV per atom: -0.532

Lattice parameters (Å, degrees): 7.3777 3.9764 9.5625 90.00 90.49 90.00
Closest atoms and distances in Å follow each position.
Space group Pm (No. 6)
Symmetry-distinct sites (fractional):
Hf 0.0000 0.0000 0.0000 [1 per cell]  9 Sb 2.97-3.29
Hf 0.0184 0.5000 0.5052 [1 per cell]  8 Sb 2.93-3.18, 1 Ge 3.08
Hf 0.5019 0.0000 0.8218 [1 per cell]  2 Ge 2.94, 7 Sb 2.95-3.10
Hf 0.5247 0.5000 0.3328 [1 per cell]  1 Ge 2.83, 7 Sb 3.00-3.13
Ge 0.6284 0.5000 0.6182 [1 per cell]  4 Sb 2.81-3.06, 4 Hf 2.83-3.08
Sb 0.1297 0.5000 0.2122 [1 per cell]  4 Hf 2.93-3.13, 4 Sb 2.93-3.15
Sb 0.1928 0.5000 0.8107 [1 per cell]  5 Hf 3.03-3.18, 2 Sb 3.24
Sb 0.3373 0.0000 0.5222 [1 per cell]  5 Hf 3.03-3.10, 2 Ge 3.06
Sb 0.3945 0.0000 0.1179 [1 per cell]  4 Sb 2.93-3.14, 4 Hf 2.95-3.11
Sb 0.6949 0.5000 0.0143 [1 per cell]  5 Hf 3.01-3.30, 2 Sb 3.14
Sb 0.8274 0.0000 0.3157 [1 per cell]  5 Hf 3.00-3.29, 2 Sb 3.15
Sb 0.8739 0.0000 0.7048 [1 per cell]  2 Ge 2.81, 4 Hf 2.96-2.97



This record from the Materials Project database describes crystalline Cu4Br6N4O at its relaxed geometry. The functional is PBE.

Output
Raw total energy, eV/cell: -102.2
Crystal system: tetragonal
ΔE_f, eV per atom: 0.850

Lattice parameters (Å, degrees): 8.7573 8.7573 9.5497 90.00 90.00 90.00
Closest atoms and distances in Å follow each position.
Space group P-42_1c (No. 114)
Symmetry-distinct sites (fractional):
Cu 0.0690 0.1659 0.1167 [8 per cell]  1 N 1.77, 1 O 1.93
Br 0.0000 0.0000 0.3182 [4 per cell]  2 Cu 2.49
Br 0.1280 0.6768 0.9968 [8 per cell]  2 Cu 2.49-2.50
N 0.1308 0.3157 0.2270 [8 per cell]  1 Cu 1.77
O 0.0000 0.0000 0.0000 [2 per cell]  4 Cu 1.93



This record from the Materials Project database describes crystalline Eu2In3Ni at its relaxed geometry. The functional is PBE.

Output
Raw total energy, eV/cell: -36.6
Crystal system: orthorhombic
ΔE_f, eV per atom: -0.336

Lattice parameters (Å, degrees): 3.8489 4.8266 8.5537 90.00 90.00 90.00
Closest atoms and distances in Å follow each position.
Space group Pmm2 (No. 25)
Symmetry-distinct sites (fractional):
Eu 0.0000 0.0000 0.0000 [1 per cell]  2 Ni 3.25, 8 In 3.38-3.48
Eu 0.0000 0.5000 0.4624 [1 per cell]  8 In 3.21-3.57, 4 Ni 3.36
In 0.5000 0.0000 0.6222 [1 per cell]  1 Ni 2.70, 2 In 2.92
In 0.5000 0.5000 0.1620 [1 per cell]  2 Ni 2.71, 1 In 2.98
In 0.5000 0.5000 0.8134 [1 per cell]  3 In 2.92-2.98
Ni 0.5000 0.0000 0.3064 [1 per cell]  3 In 2.70-2.71